Entry 1:
Here is an optimized crystal structure of Mn10C3N from the Materials Project. Energies are from GGA-PBE.

Cell: 2.809 2.809 21.955 Å, 90.00 90.00 120.00°
Fractional coordinates of all 14 atoms:
Mn: 0.667 0.333 0.949
Mn: 0.667 0.333 0.750
Mn: 0.667 0.333 0.550
Mn: 0.667 0.333 0.349
Mn: 0.667 0.333 0.149
Mn: 0.333 0.667 0.851
Mn: 0.333 0.667 0.650
Mn: 0.333 0.667 0.450
Mn: 0.333 0.667 0.251
Mn: 0.333 0.667 0.051
C: 0.000 0.000 0.800
C: 0.000 0.000 0.600
C: 0.000 0.000 0.400
N: 0.000 0.000 0.200

Results
space-group type	No. 156
total energy	-9.06	eV per atom
energy of formation	36	meV per atom
corrected total energy (MP2020 scheme)	-127.1	eV/f.u.

Entry 2:
Here is an optimized crystal structure of MnC6N9 from the Materials Project. Energies are from GGA-PBE.

Cell: 7.643 13.625 11.448 Å, 90.00 90.00 26.96°
Fractional coordinates of all 32 atoms:
Mn: 0.000 0.274 0.250
Mn: 0.000 0.726 0.750
C: 0.677 0.786 0.250
C: 0.677 0.538 0.750
C: 0.323 0.214 0.750
C: 0.323 0.462 0.250
C: 0.676 0.310 0.901
C: 0.676 0.014 0.099
C: 0.676 0.310 0.599
C: 0.676 0.014 0.401
C: 0.324 0.690 0.099
C: 0.324 0.986 0.901
C: 0.324 0.690 0.401
C: 0.324 0.986 0.599
N: 0.000 0.576 0.250
N: 0.000 0.424 0.750
N: 0.375 0.976 0.250
N: 0.375 0.649 0.750
N: 0.625 0.024 0.750
N: 0.625 0.351 0.250
N: 0.000 0.121 0.948
N: 0.000 0.879 0.052
N: 0.000 0.121 0.552
N: 0.000 0.879 0.448
N: 0.372 0.484 0.864
N: 0.372 0.143 0.136
N: 0.372 0.484 0.636
N: 0.372 0.143 0.364
N: 0.628 0.516 0.136
N: 0.628 0.857 0.864
N: 0.628 0.516 0.364
N: 0.628 0.857 0.636

Results
space-group type	No. 63
total energy	-8.29	eV per atom
energy of formation	225	meV per atom
corrected total energy (MP2020 scheme)	-136.0	eV/f.u.

Entry 3:
Here is an optimized crystal structure of MnC2N2 from the Materials Project. Energies are from GGA-PBE.

Cell: 6.118 6.118 6.118 Å, 90.00 90.00 90.00°
Fractional coordinates of all 10 atoms:
Mn: 0.000 0.000 0.000
Mn: 0.500 0.500 0.500
C: 0.804 0.804 0.196
C: 0.804 0.196 0.804
C: 0.196 0.804 0.804
C: 0.196 0.196 0.196
N: 0.693 0.693 0.307
N: 0.693 0.307 0.693
N: 0.307 0.693 0.693
N: 0.307 0.307 0.307

Results
space-group type	No. 215
total energy	-8.56	eV per atom
energy of formation	158	meV per atom
corrected total energy (MP2020 scheme)	-43.5	eV/f.u.

Entry 4:
Here is an optimized crystal structure of MnC8N6 from the Materials Project. Energies are from GGA-PBE.

Cell: 5.088 7.120 10.229 Å, 90.00 90.00 90.00°
Fractional coordinates of all 30 atoms:
Mn: 0.000 0.500 0.500
Mn: 0.000 0.000 0.000
C: 0.378 0.000 0.759
C: 0.378 0.500 0.741
C: 0.622 0.000 0.241
C: 0.622 0.500 0.259
C: 0.574 0.000 0.662
C: 0.574 0.500 0.838
C: 0.426 0.000 0.338
C: 0.426 0.500 0.162
C: 0.689 0.167 0.616
C: 0.689 0.333 0.884
C: 0.311 0.167 0.384
C: 0.689 0.667 0.884
C: 0.311 0.833 0.384
C: 0.311 0.667 0.116
C: 0.689 0.833 0.616
C: 0.311 0.333 0.116
N: 0.795 0.300 0.574
N: 0.795 0.200 0.926
N: 0.205 0.300 0.426
N: 0.795 0.800 0.926
N: 0.205 0.700 0.426
N: 0.205 0.800 0.074
N: 0.795 0.700 0.574
N: 0.205 0.200 0.074
N: 0.223 0.000 0.844
N: 0.223 0.500 0.656
N: 0.777 0.000 0.156
N: 0.777 0.500 0.344

Results
space-group type	No. 53
total energy	-8.49	eV per atom
energy of formation	235	meV per atom
corrected total energy (MP2020 scheme)	-129.5	eV/f.u.